[1]
Compound: Li4TiV3O8
Source: the Materials Project
Functional: GGA+U
Structure: optimized geometry

The structure in POSCAR format:
```
Li4TiV3O8
1.0
5.154 -3.004 0.000
5.154 3.004 0.000
-3.457 0.000 4.910
Li Ti V O
4 1 3 8
direct
0.000 0.000 0.000 Li
0.000 0.500 0.000 Li
0.500 0.000 0.000 Li
0.500 0.500 0.000 Li
0.000 0.000 0.500 Ti
0.000 0.500 0.500 V
0.500 0.000 0.500 V
0.500 0.500 0.500 V
0.235 0.750 0.730 O
0.237 0.237 0.733 O
0.250 0.250 0.271 O
0.250 0.765 0.270 O
0.750 0.235 0.730 O
0.750 0.750 0.729 O
0.763 0.763 0.267 O
0.765 0.250 0.270 O
```

Calculated values
spin magnetization = 7.00 μB/f.u.
polymorph energy (0 for the lowest one) = 0.00 kcal/mol of atoms
E_form = -2.611 eV per atom
E_tot = -7.097 eV/atom
crystal system = monoclinic
density = 3893 kg/m³


[2]
Compound: Li4Ni5BiO12
Source: the Materials Project
Functional: GGA+U
Structure: optimized geometry

The structure in POSCAR format:
```
Li4Ni5BiO12
1.0
2.596 -4.449 0.000
2.596 4.449 0.000
-0.387 0.000 10.114
Li Ni Bi O
4 5 1 12
direct
0.134 0.675 0.742 Li
0.325 0.866 0.258 Li
0.675 0.134 0.742 Li
0.866 0.325 0.258 Li
0.000 0.000 0.500 Ni
0.166 0.834 0.000 Ni
0.336 0.664 0.500 Ni
0.664 0.336 0.500 Ni
0.834 0.166 0.000 Ni
0.500 0.500 0.000 Bi
0.015 0.658 0.398 O
0.141 0.141 0.895 O
0.169 0.528 0.114 O
0.322 0.322 0.410 O
0.342 0.985 0.602 O
0.472 0.831 0.886 O
0.528 0.169 0.114 O
0.658 0.015 0.398 O
0.678 0.678 0.590 O
0.831 0.472 0.886 O
0.859 0.859 0.105 O
0.985 0.342 0.602 O
```

Calculated values
spin magnetization = 7.00 μB/f.u.
E_form = -1.323 eV per atom
E_tot = -4.907 eV/atom
crystal system = monoclinic
density = 5134 kg/m³


[3]
Compound: NbCo3O8
Source: the Materials Project
Functional: GGA+U
Structure: optimized geometry

The structure in POSCAR format:
```
NbCo3O8
1.0
5.728 0.000 0.000
-2.847 5.012 0.000
-0.063 -0.377 9.268
Nb Co O
2 6 16
direct
0.000 0.000 0.000 Nb
0.351 0.687 0.491 Nb
0.000 0.486 0.778 Co
0.334 0.162 0.280 Co
0.493 0.984 0.780 Co
0.498 0.491 0.778 Co
0.839 0.162 0.281 Co
0.840 0.669 0.281 Co
0.014 0.006 0.383 O
0.146 0.838 0.170 O
0.151 0.287 0.167 O
0.196 0.814 0.659 O
0.201 0.366 0.660 O
0.326 0.139 0.900 O
0.360 0.680 0.883 O
0.510 0.009 0.390 O
0.514 0.500 0.391 O
0.634 0.824 0.655 O
0.642 0.299 0.686 O
0.661 0.321 0.184 O
0.705 0.839 0.168 O
0.823 0.648 0.893 O
0.825 0.151 0.896 O
0.999 0.502 0.394 O
```

Calculated values
spin magnetization = 2.00 μB/f.u.
polymorph energy (0 for the lowest one) = 0.72 kcal/mol of atoms
E_form = -1.583 eV per atom
E_tot = -6.633 eV/atom
crystal system = triclinic
density = 4964 kg/m³


[4]
Compound: LiMn3Al2H6O12
Source: the Materials Project
Functional: GGA+U
Structure: optimized geometry

The structure in POSCAR format:
```
LiMn3Al2H6O12
1.0
5.852 0.000 0.000
1.473 7.590 0.000
2.897 3.349 9.557
Li Mn Al H O
2 6 4 12 24
direct
0.158 0.345 0.001 Li
0.842 0.655 0.999 Li
0.083 0.667 0.499 Mn
0.250 0.001 0.499 Mn
0.416 0.333 0.502 Mn
0.584 0.667 0.498 Mn
0.750 0.999 0.501 Mn
0.917 0.333 0.501 Mn
0.000 0.000 0.000 Al
0.331 0.661 0.998 Al
0.500 0.000 0.000 Al
0.669 0.339 0.002 Al
0.010 0.305 0.795 H
0.142 0.009 0.204 H
0.214 0.657 0.789 H
0.319 0.359 0.210 H
0.360 0.985 0.787 H
0.461 0.692 0.200 H
0.539 0.308 0.800 H
0.640 0.015 0.213 H
0.681 0.641 0.790 H
0.786 0.343 0.211 H
0.858 0.991 0.796 H
0.990 0.695 0.205 H
0.030 0.742 0.102 O
0.067 0.935 0.396 O
0.099 0.400 0.603 O
0.167 0.618 0.892 O
0.187 0.051 0.101 O
0.235 0.268 0.400 O
0.268 0.733 0.598 O
0.321 0.943 0.892 O
0.362 0.406 0.107 O
0.400 0.600 0.397 O
0.432 0.063 0.605 O
0.500 0.258 0.903 O
0.500 0.742 0.097 O
0.568 0.937 0.395 O
0.600 0.400 0.603 O
0.638 0.594 0.893 O
0.679 0.057 0.108 O
0.732 0.267 0.402 O
0.765 0.732 0.600 O
0.813 0.949 0.899 O
0.833 0.382 0.108 O
0.901 0.600 0.397 O
0.933 0.065 0.604 O
0.970 0.258 0.898 O
```

Calculated values
spin magnetization = 10.00 μB/f.u.
polymorph energy (0 for the lowest one) = 0.90 kcal/mol of atoms
E_form = -2.011 eV per atom
E_tot = -6.318 eV/atom
crystal system = triclinic
density = 3315 kg/m³


[5]
Compound: Li7Fe7SiO16
Source: the Materials Project
Functional: GGA+U
Structure: optimized geometry

The structure in POSCAR format:
```
Li7Fe7SiO16
1.0
5.112 0.000 0.000
0.012 5.557 0.000
0.017 0.018 13.084
Li Fe Si O
7 7 1 16
direct
0.000 0.000 0.000 Li
0.001 0.496 0.127 Li
0.501 0.333 0.252 Li
0.502 0.834 0.379 Li
0.507 0.839 0.876 Li
0.994 0.480 0.632 Li
0.998 0.999 0.504 Li
0.000 0.998 0.253 Fe
0.497 0.335 0.502 Fe
0.500 0.334 0.003 Fe
0.501 0.831 0.126 Fe
0.504 0.836 0.630 Fe
0.994 0.492 0.871 Fe
0.996 0.498 0.377 Fe
0.996 0.988 0.753 Si
0.068 0.277 0.759 O
0.106 0.828 0.374 O
0.106 0.834 0.855 O
0.107 0.327 0.257 O
0.120 0.344 0.499 O
0.123 0.348 0.994 O
0.123 0.845 0.130 O
0.124 0.863 0.649 O
0.604 0.005 0.510 O
0.606 0.502 0.124 O
0.607 0.004 0.006 O
0.616 0.519 0.613 O
0.621 0.487 0.379 O
0.624 0.987 0.248 O
0.631 0.509 0.891 O
0.676 0.952 0.749 O
```

Calculated values
spin magnetization = 35.01 μB/f.u.
polymorph energy (0 for the lowest one) = 0.00 kcal/mol of atoms
E_form = -2.022 eV per atom
E_tot = -6.231 eV/atom
crystal system = triclinic
density = 3232 kg/m³


[6]
Compound: NaEuNbWO6
Source: the Materials Project
Functional: GGA+U
Structure: optimized geometry

The structure in POSCAR format:
```
NaEuNbWO6
1.0
0.000 4.050 4.050
4.050 0.000 4.050
4.050 4.050 0.000
Na Eu Nb W O
1 1 1 1 6
direct
0.000 0.000 0.000 Na
0.500 0.500 0.500 Eu
0.750 0.750 0.750 Nb
0.250 0.250 0.250 W
0.000 0.000 0.500 O
0.000 0.500 0.000 O
0.000 0.500 0.500 O
0.500 0.000 0.000 O
0.500 0.000 0.500 O
0.500 0.500 0.000 O
```

Calculated values
spin magnetization = 5.04 μB/f.u.
E_form = -2.648 eV per atom
E_tot = -8.225 eV/atom
crystal system = cubic
density = 6844 kg/m³


[7]
Compound: V12Ag5O32
Source: the Materials Project
Functional: GGA+U
Structure: optimized geometry

The structure in POSCAR format:
```
V12Ag5O32
1.0
7.575 -3.650 0.000
7.575 3.650 0.000
-3.796 0.000 11.849
V Ag O
12 5 32
direct
0.000 0.000 0.000 V
0.038 0.537 0.621 V
0.385 0.385 0.461 V
0.427 0.927 0.081 V
0.459 0.957 0.347 V
0.469 0.469 0.734 V
0.501 0.501 0.001 V
0.537 0.038 0.621 V
0.889 0.889 0.463 V
0.927 0.427 0.081 V
0.957 0.459 0.347 V
0.970 0.970 0.731 V
0.176 0.679 0.221 Ag
0.250 0.250 0.861 Ag
0.606 0.606 0.520 Ag
0.679 0.176 0.221 Ag
0.751 0.751 0.862 Ag
0.009 0.509 0.215 O
0.079 0.079 0.809 O
0.107 0.607 0.470 O
0.138 0.138 0.079 O
0.181 0.681 0.714 O
0.249 0.249 0.372 O
0.289 0.789 0.002 O
0.322 0.322 0.613 O
0.348 0.847 0.273 O
0.419 0.419 0.865 O
0.435 0.435 0.358 O
0.439 0.439 0.091 O
0.442 0.938 0.499 O
0.486 0.486 0.587 O
0.488 0.988 0.990 O
0.492 0.993 0.727 O
0.509 0.009 0.215 O
0.579 0.579 0.809 O
0.607 0.107 0.470 O
0.638 0.638 0.080 O
0.681 0.181 0.714 O
0.748 0.748 0.371 O
0.789 0.289 0.002 O
0.822 0.822 0.613 O
0.847 0.348 0.273 O
0.919 0.919 0.865 O
0.935 0.935 0.357 O
0.938 0.442 0.499 O
0.939 0.939 0.091 O
0.987 0.987 0.588 O
0.988 0.488 0.990 O
0.993 0.492 0.727 O
```

Calculated values
spin magnetization = 1.07 μB/f.u.
E_form = -2.032 eV per atom
E_tot = -6.912 eV/atom
crystal system = monoclinic
density = 4214 kg/m³


[8]
Compound: LiCoO2
Source: the Materials Project
Functional: GGA+U
Structure: optimized geometry

The structure in POSCAR format:
```
LiCoO2
1.0
5.003 -2.924 0.000
5.003 2.924 0.000
-3.378 0.000 4.751
Li Co O
4 4 8
direct
0.000 0.000 0.000 Li
0.000 0.000 0.500 Li
0.000 0.500 0.000 Li
0.500 0.000 0.000 Li
0.000 0.500 0.500 Co
0.500 0.000 0.500 Co
0.500 0.500 0.000 Co
0.500 0.500 0.500 Co
0.260 0.260 0.270 O
0.262 0.727 0.732 O
0.263 0.263 0.754 O
0.273 0.738 0.268 O
0.727 0.262 0.732 O
0.737 0.737 0.246 O
0.738 0.273 0.268 O
0.740 0.740 0.730 O
```

Calculated values
spin magnetization = 0.00 μB/f.u.
E_form = -1.706 eV per atom
E_tot = -5.682 eV/atom
crystal system = monoclinic
density = 4677 kg/m³


Question: The highest density belongs to which entry?
Answer: NaEuNbWO6


Question: spin magnetization of number 3 (NbCo3O8)?
Answer: 2.00 μB/f.u.


Question: density of number 3 (NbCo3O8)?
Answer: 4964 kg/m³


Question: Which value of E_tot does entry 6 give?
Answer: -8.225 eV/atom